## LiCo2C3O9 (PBE+U)

Data for a geometry-optimized LiCo2C3O9 structure.

Summary:
The value obtained for the size of the total moment is 0.3333 μB per atom. As for the formation energy: -1660 meV/atom. The volume is 11.115 Å³ per atom.

a = 7.3999 Å, b = 7.5465 Å, c = 7.5906 Å
α = 110.21°, β = 108.14°, γ = 108.21°
Space group P1 (No. 1)
Inequivalent atoms, fractional coordinates:
Li (0.0000, 0.0000, 0.0000) [1 per cell]
Li (0.4714, 0.6769, 0.6364) [1 per cell]
Co (0.2985, 0.5363, 0.1150) [1 per cell]
Co (0.4029, 0.1262, 0.8495) [1 per cell]
Co (0.6736, 0.0391, 0.2375) [1 per cell]
Co (0.7903, 0.4023, 0.7308) [1 per cell]
C (0.0362, 0.1773, 0.6938) [1 per cell]
C (0.2230, 0.7663, 0.8788) [1 per cell]
C (0.4501, 0.9872, 0.4786) [1 per cell]
C (0.5983, 0.4173, 0.3579) [1 per cell]
C (0.6627, 0.6387, 0.0162) [1 per cell]
C (0.9091, 0.3331, 0.0991) [1 per cell]
O (0.0818, 0.5161, 0.2132) [1 per cell]
O (0.0868, 0.2305, 0.8940) [1 per cell]
O (0.1139, 0.5961, 0.8874) [1 per cell]
O (0.1403, 0.1100, 0.6113) [1 per cell]
O (0.1478, 0.8921, 0.8567) [1 per cell]
O (0.4110, 0.9067, 0.5930) [1 per cell]
O (0.4160, 0.8082, 0.9003) [1 per cell]
O (0.4396, 0.8704, 0.2974) [1 per cell]
O (0.4796, 0.5142, 0.3560) [1 per cell]
O (0.4875, 0.4828, 0.9766) [1 per cell]
O (0.4984, 0.1870, 0.5340) [1 per cell]
O (0.5434, 0.2457, 0.1906) [1 per cell]
O (0.7225, 0.6255, 0.8662) [1 per cell]
O (0.7542, 0.2977, 0.9275) [1 per cell]
O (0.7726, 0.8130, 0.1915) [1 per cell]
O (0.7763, 0.5026, 0.5302) [1 per cell]
O (0.8717, 0.1980, 0.5838) [1 per cell]
O (0.8900, 0.1847, 0.1503) [1 per cell]


## Li3Co2C4O12 (PBE+U)

Data for a geometry-optimized Li3Co2C4O12 structure.

Summary:
The value obtained for the size of the total moment is 0.2381 μB per atom. As for the formation energy: -1847 meV/atom. The volume is 11.288 Å³ per atom.

a = 5.2086 Å, b = 6.3564 Å, c = 7.8364 Å
α = 89.88°, β = 89.56°, γ = 66.03°
Space group P1 (No. 1)
Inequivalent atoms, fractional coordinates:
Li (0.0000, 0.0000, 0.0000) [1 per cell]
Li (0.1010, 0.1415, 0.4888) [1 per cell]
Li (0.5825, 0.6810, 0.8749) [1 per cell]
Co (0.2843, 0.3471, 0.9264) [1 per cell]
Co (0.7857, 0.8309, 0.4333) [1 per cell]
C (0.0436, 0.4611, 0.1868) [1 per cell]
C (0.0531, 0.7366, 0.7020) [1 per cell]
C (0.5145, 0.9701, 0.1681) [1 per cell]
C (0.5548, 0.2249, 0.6724) [1 per cell]
O (0.1577, 0.7861, 0.5671) [1 per cell]
O (0.1866, 0.6956, 0.8483) [1 per cell]
O (0.2934, 0.2460, 0.6875) [1 per cell]
O (0.3010, 0.4380, 0.1565) [1 per cell]
O (0.3860, 0.9998, 0.0209) [1 per cell]
O (0.3922, 0.9591, 0.3094) [1 per cell]
O (0.6529, 0.2642, 0.8188) [1 per cell]
O (0.6942, 0.1758, 0.5359) [1 per cell]
O (0.7758, 0.9403, 0.1751) [1 per cell]
O (0.8060, 0.7317, 0.6919) [1 per cell]
O (0.9232, 0.4314, 0.0458) [1 per cell]
O (0.9312, 0.4958, 0.3328) [1 per cell]


## Li2CoC2O6 (PBE+U)

Data for a geometry-optimized Li2CoC2O6 structure.

Summary:
The value obtained for the size of the total moment is 0.0000 μB per atom. As for the formation energy: -1911 meV/atom. The volume is 11.333 Å³ per atom.

a = 5.2231 Å, b = 9.8691 Å, c = 10.3250 Å
α = 71.35°, β = 82.70°, γ = 83.44°
Space group P1 (No. 1)
Inequivalent atoms, fractional coordinates:
Li (0.0000, 0.0000, 0.0000) [1 per cell]
Li (0.0014, 0.3201, 0.1586) [1 per cell]
Li (0.0479, 0.0309, 0.7321) [1 per cell]
Li (0.2833, 0.9792, 0.3176) [1 per cell]
Li (0.4986, 0.5003, 0.4989) [1 per cell]
Li (0.5017, 0.8203, 0.6578) [1 per cell]
Li (0.5480, 0.5314, 0.2312) [1 per cell]
Li (0.7834, 0.4783, 0.8179) [1 per cell]
Co (0.1329, 0.6494, 0.9893) [1 per cell]
Co (0.4811, 0.1301, 0.0072) [1 per cell]
Co (0.6336, 0.1492, 0.4898) [1 per cell]
Co (0.9803, 0.6299, 0.5070) [1 per cell]
C (0.0347, 0.5373, 0.3018) [1 per cell]
C (0.0646, 0.7290, 0.6946) [1 per cell]
C (0.3162, 0.4387, 0.9136) [1 per cell]
C (0.3724, 0.8217, 0.1044) [1 per cell]
C (0.5360, 0.0370, 0.8022) [1 per cell]
C (0.5646, 0.2294, 0.1948) [1 per cell]
C (0.8150, 0.9388, 0.4134) [1 per cell]
C (0.8716, 0.3214, 0.6044) [1 per cell]
O (0.0577, 0.2273, 0.6112) [1 per cell]
O (0.0643, 0.4628, 0.9383) [1 per cell]
O (0.0811, 0.5035, 0.1890) [1 per cell]
O (0.1173, 0.7928, 0.7798) [1 per cell]
O (0.1523, 0.8099, 0.0608) [1 per cell]
O (0.2278, 0.5518, 0.3648) [1 per cell]
O (0.2510, 0.6894, 0.6146) [1 per cell]
O (0.3040, 0.0579, 0.8544) [1 per cell]
O (0.3309, 0.2040, 0.1845) [1 per cell]
O (0.3802, 0.9396, 0.1391) [1 per cell]
O (0.4213, 0.3306, 0.8785) [1 per cell]
O (0.4572, 0.5335, 0.9265) [1 per cell]
O (0.5597, 0.7283, 0.1113) [1 per cell]
O (0.5633, 0.9628, 0.4390) [1 per cell]
O (0.5835, 0.0032, 0.6895) [1 per cell]
O (0.6170, 0.2933, 0.2798) [1 per cell]
O (0.6509, 0.3103, 0.5607) [1 per cell]
O (0.7287, 0.0514, 0.8656) [1 per cell]
O (0.7513, 0.1895, 0.1150) [1 per cell]
O (0.8030, 0.5580, 0.3545) [1 per cell]
O (0.8307, 0.7036, 0.6845) [1 per cell]
O (0.8815, 0.4390, 0.6392) [1 per cell]
O (0.9191, 0.8302, 0.3786) [1 per cell]
O (0.9566, 0.0338, 0.4252) [1 per cell]


## LiCoC4O4 (PBE+U)

Data for a geometry-optimized LiCoC4O4 structure.

Summary:
The value obtained for the size of the total moment is 0.0001 μB per atom. As for the formation energy: -959 meV/atom. The volume is 17.818 Å³ per atom. For the piezoelectric modulus e_max, the calculation gives 0.105 C/m2.

a = 5.6272 Å, b = 5.6272 Å, c = 5.6272 Å
α = 90.00°, β = 90.00°, γ = 90.00°
Space group P-43m (No. 215)
Inequivalent atoms, fractional coordinates:
Li (0.0000, 0.0000, 0.0000) [1 per cell]
Co (0.5000, 0.5000, 0.5000) [1 per cell]
C (0.3224, 0.3224, 0.3224) [4 per cell]
O (0.2014, 0.2014, 0.2014) [4 per cell]


## Li3CoPCO7 (PBE+U)

Data for a geometry-optimized Li3CoPCO7 structure.

Summary:
The value obtained for the size of the total moment is 0.2308 μB per atom. As for the formation energy: -2271 meV/atom. The volume is 10.317 Å³ per atom.

a = 6.3836 Å, b = 8.5918 Å, c = 9.8201 Å
α = 95.07°, β = 90.05°, γ = 90.04°
Space group P1 (No. 1)
Inequivalent atoms, fractional coordinates:
Li (0.0000, 0.0000, 0.0000) [1 per cell]
Li (0.9999, 0.9996, 0.5000) [1 per cell]
Li (0.2126, 0.1761, 0.7674) [1 per cell]
Li (0.2149, 0.1741, 0.2673) [1 per cell]
Li (0.2367, 0.6395, 0.9910) [1 per cell]
Li (0.2375, 0.6405, 0.4869) [1 per cell]
Li (0.4893, 0.5670, 0.2559) [1 per cell]
Li (0.4986, 0.5671, 0.7571) [1 per cell]
Li (0.7108, 0.3917, 0.9888) [1 per cell]
Li (0.7139, 0.3914, 0.4911) [1 per cell]
Li (0.7375, 0.9251, 0.2693) [1 per cell]
Li (0.7374, 0.9265, 0.7683) [1 per cell]
Co (0.4826, 0.0156, 0.0065) [1 per cell]
Co (0.4832, 0.0156, 0.5063) [1 per cell]
Co (0.9755, 0.5432, 0.2491) [1 per cell]
Co (0.9838, 0.5502, 0.7508) [1 per cell]
P (0.2292, 0.8746, 0.2407) [1 per cell]
P (0.2313, 0.8747, 0.7406) [1 per cell]
P (0.7321, 0.6924, 0.0168) [1 per cell]
P (0.7332, 0.6917, 0.5161) [1 per cell]
C (0.2154, 0.3236, 0.5265) [1 per cell]
C (0.2203, 0.3260, 0.0280) [1 per cell]
C (0.7158, 0.2423, 0.7306) [1 per cell]
C (0.7166, 0.2417, 0.2306) [1 per cell]
O (0.0384, 0.9741, 0.2906) [1 per cell]
O (0.0390, 0.9723, 0.7909) [1 per cell]
O (0.2004, 0.4389, 0.6214) [1 per cell]
O (0.2108, 0.4424, 0.1227) [1 per cell]
O (0.2164, 0.3476, 0.4001) [1 per cell]
O (0.2196, 0.3496, 0.9015) [1 per cell]
O (0.2256, 0.7051, 0.2826) [1 per cell]
O (0.2309, 0.7047, 0.7826) [1 per cell]
O (0.2341, 0.1804, 0.5651) [1 per cell]
O (0.2352, 0.1825, 0.0663) [1 per cell]
O (0.2478, 0.8687, 0.0810) [1 per cell]
O (0.2492, 0.8681, 0.5810) [1 per cell]
O (0.4233, 0.9660, 0.3035) [1 per cell]
O (0.4240, 0.9672, 0.8036) [1 per cell]
O (0.5392, 0.5955, 0.9666) [1 per cell]
O (0.5403, 0.5946, 0.4648) [1 per cell]
O (0.6984, 0.1275, 0.1356) [1 per cell]
O (0.6992, 0.1275, 0.6354) [1 per cell]
O (0.7183, 0.2185, 0.3567) [1 per cell]
O (0.7189, 0.2174, 0.8567) [1 per cell]
O (0.7322, 0.8622, 0.9744) [1 per cell]
O (0.7326, 0.8620, 0.4747) [1 per cell]
O (0.7339, 0.3859, 0.6928) [1 per cell]
O (0.7376, 0.3855, 0.1917) [1 per cell]
O (0.7494, 0.6980, 0.6759) [1 per cell]
O (0.7507, 0.6997, 0.1764) [1 per cell]
O (0.9239, 0.5983, 0.9545) [1 per cell]
O (0.9257, 0.5987, 0.4544) [1 per cell]


## Li3CoPCO7 (PBE+U)

Data for a geometry-optimized Li3CoPCO7 structure.

Summary:
The value obtained for the size of the total moment is 0.2307 μB per atom. As for the formation energy: -2268 meV/atom. The volume is 10.369 Å³ per atom.

a = 6.4411 Å, b = 8.4666 Å, c = 9.9335 Å
α = 95.50°, β = 90.26°, γ = 90.45°
Space group P1 (No. 1)
Inequivalent atoms, fractional coordinates:
Li (0.0000, 0.0000, 0.0000) [1 per cell]
Li (0.0014, 0.5510, 0.2839) [1 per cell]
Li (0.2219, 0.1820, 0.2604) [1 per cell]
Li (0.2256, 0.1772, 0.7568) [1 per cell]
Li (0.2578, 0.6235, 0.0225) [1 per cell]
Li (0.2602, 0.6236, 0.4951) [1 per cell]
Li (0.4911, 0.7939, 0.2786) [1 per cell]
Li (0.4941, 0.7989, 0.7667) [1 per cell]
Li (0.7471, 0.6265, 0.4990) [1 per cell]
Li (0.7680, 0.1744, 0.7569) [1 per cell]
Li (0.7774, 0.1835, 0.2617) [1 per cell]
Li (0.9995, 0.0033, 0.4957) [1 per cell]
Co (0.0020, 0.5671, 0.7792) [1 per cell]
Co (0.5000, 0.2307, 0.9886) [1 per cell]
Co (0.5007, 0.2316, 0.4895) [1 per cell]
Co (0.7450, 0.6303, 0.0290) [1 per cell]
P (0.0007, 0.3156, 0.5247) [1 per cell]
P (0.5002, 0.4861, 0.7508) [1 per cell]
P (0.5017, 0.4903, 0.2475) [1 per cell]
P (0.9978, 0.3089, 0.0261) [1 per cell]
C (0.4983, 0.9383, 0.5360) [1 per cell]
C (0.5000, 0.9382, 0.0367) [1 per cell]
C (0.9916, 0.8624, 0.2330) [1 per cell]
C (0.9961, 0.8612, 0.7334) [1 per cell]
O (0.9997, 0.8305, 0.3558) [1 per cell]
O (0.0022, 0.8291, 0.8583) [1 per cell]
O (0.0035, 0.4789, 0.4720) [1 per cell]
O (0.1874, 0.2088, 0.4740) [1 per cell]
O (0.1867, 0.2114, 0.9683) [1 per cell]
O (0.3094, 0.5898, 0.2905) [1 per cell]
O (0.3139, 0.5910, 0.8026) [1 per cell]
O (0.4903, 0.0578, 0.1284) [1 per cell]
O (0.4954, 0.7925, 0.5661) [1 per cell]
O (0.4982, 0.3197, 0.8015) [1 per cell]
O (0.4976, 0.9733, 0.4121) [1 per cell]
O (0.4995, 0.3229, 0.2978) [1 per cell]
O (0.5015, 0.0560, 0.6317) [1 per cell]
O (0.5029, 0.9648, 0.9116) [1 per cell]
O (0.5052, 0.7931, 0.0741) [1 per cell]
O (0.5098, 0.4678, 0.5942) [1 per cell]
O (0.5118, 0.4679, 0.0862) [1 per cell]
O (0.6884, 0.5905, 0.8122) [1 per cell]
O (0.6911, 0.5934, 0.2965) [1 per cell]
O (0.8111, 0.2048, 0.9685) [1 per cell]
O (0.8129, 0.2086, 0.4716) [1 per cell]
O (0.9857, 0.7466, 0.1335) [1 per cell]
O (0.9892, 0.7416, 0.6403) [1 per cell]
O (0.9949, 0.0082, 0.2004) [1 per cell]
O (0.9963, 0.4774, 0.9743) [1 per cell]
O (0.9982, 0.0058, 0.7005) [1 per cell]
O (0.9982, 0.3276, 0.1814) [1 per cell]
O (0.9991, 0.3334, 0.6834) [1 per cell]